A relaxed Mo2PbSe2O11 crystal, computed with PBE with a Hubbard U.

Cell: 8.099 8.359 9.005 Å, 82.93 65.13 66.79°
Space group P-1 (No. 2)
Unique sites:
Mo: 0.221 0.468 0.045 x2
Mo: 0.228 0.876 0.805 x2
Pb: 0.072 0.725 0.473 x2
Se: 0.249 0.054 0.144 x2
Se: 0.261 0.274 0.687 x2
O: 0.094 0.021 0.068 x2
O: 0.101 0.407 0.871 x2
O: 0.121 0.281 0.189 x2
O: 0.140 0.129 0.720 x2
O: 0.165 0.993 0.340 x2
O: 0.180 0.392 0.548 x2
O: 0.231 0.671 0.924 x2
O: 0.258 0.525 0.205 x2
O: 0.278 0.788 0.618 x2
O: 0.444 0.308 0.922 x2
O: 0.446 0.890 0.785 x2

Summary:
Calculated volume = 15.9 Å³ per atom
Energy relative to the elements = -1656 meV/atom
Theoretical density = 4.795 g/cm3
Size of the total moment = 0.0 μB per formula unit